Record 1
Density functional theory data (PBE-GGA) for a geometry-optimized Si6Sb2H36C12O3 structure.

abc: 10.3189 10.3250 17.3954
angles: 92.55 90.24 119.23
Positions (direct):
Si  0.0664  0.2607  0.3566
Si  0.0670  0.1708  0.1753
Si  0.1209  0.5825  0.8540
Si  0.2211  0.5870  0.6778
Si  0.3696  0.0198  0.8510
Si  0.3747  0.0262  0.6653
Si  0.6253  0.9738  0.3347
Si  0.6304  0.9802  0.1490
Si  0.7789  0.4130  0.3222
Si  0.8791  0.4175  0.1460
Si  0.9330  0.8292  0.8247
Si  0.9336  0.7393  0.6434
Sb  0.1305  0.8226  0.9160
Sb  0.1884  0.7737  0.5933
Sb  0.8116  0.2263  0.4067
Sb  0.8695  0.1774  0.0840
H  0.0137  0.9204  0.1243
H  0.0276  0.0054  0.3735
H  0.0305  0.6198  0.3654
H  0.0662  0.3178  0.6942
H  0.0773  0.0909  0.7869
H  0.0833  0.6787  0.1659
H  0.1033  0.1188  0.4602
H  0.1123  0.3508  0.5955
H  0.1173  0.9702  0.2132
H  0.1304  0.5525  0.2091
H  0.1414  0.5721  0.1073
H  0.1593  0.4661  0.9687
H  0.1738  0.5154  0.4241
H  0.2188  0.1410  0.3806
H  0.2399  0.1503  0.6096
H  0.2415  0.4350  0.8853
H  0.2663  0.2252  0.0810
H  0.2760  0.5160  0.3417
H  0.2786  0.3933  0.1199
H  0.2993  0.4450  0.4287
H  0.3329  0.6099  0.9379
H  0.3375  0.2350  0.8993
H  0.3415  0.2934  0.1760
H  0.3563  0.8418  0.3037
H  0.3732  0.9415  0.1550
H  0.3885  0.8966  0.4037
H  0.4104  0.2812  0.6573
H  0.4115  0.2026  0.5643
H  0.4140  0.0290  0.3346
H  0.4208  0.5658  0.6072
H  0.4320  0.5432  0.7074
H  0.4639  0.0415  0.0733
H  0.4693  0.2179  0.9578
H  0.4802  0.7057  0.1341
H  0.4920  0.8657  0.8333
H  0.4993  0.2760  0.3271
H  0.5007  0.7240  0.6729
H  0.5080  0.1343  0.1667
H  0.5198  0.2943  0.8659
H  0.5307  0.7821  0.0422
H  0.5361  0.9585  0.9267
H  0.5680  0.4568  0.2926
H  0.5792  0.4342  0.3928
H  0.5860  0.9710  0.6654
H  0.5885  0.7974  0.4357
H  0.5896  0.7188  0.3427
H  0.6115  0.1034  0.5963
H  0.6268  0.0585  0.8450
H  0.6437  0.1582  0.6963
H  0.6585  0.7066  0.8240
H  0.6625  0.7650  0.1007
H  0.6671  0.3901  0.0621
H  0.7007  0.5550  0.5713
H  0.7214  0.6067  0.8801
H  0.7240  0.4840  0.6583
H  0.7337  0.7748  0.9190
H  0.7585  0.5650  0.1147
H  0.7601  0.8497  0.3904
H  0.7812  0.8590  0.6194
H  0.8262  0.4846  0.5759
H  0.8407  0.5339  0.0313
H  0.8586  0.4279  0.8927
H  0.8696  0.4475  0.7909
H  0.8827  0.0298  0.7868
H  0.8877  0.6492  0.4045
H  0.8967  0.8812  0.5398
H  0.9167  0.3213  0.8341
H  0.9227  0.9091  0.2131
H  0.9338  0.6822  0.3058
H  0.9695  0.3802  0.6346
H  0.9724  0.9946  0.6265
H  0.9863  0.0796  0.8757
C  0.0256  0.9733  0.1822
C  0.0779  0.5697  0.1583
C  0.0787  0.3907  0.6471
C  0.1068  0.1177  0.3971
C  0.2172  0.4523  0.3912
C  0.2235  0.5186  0.9181
C  0.2558  0.2815  0.1337
C  0.3563  0.1788  0.6198
C  0.4117  0.6078  0.6649
C  0.4277  0.9324  0.3459
C  0.4287  0.2089  0.8982
C  0.4795  0.0292  0.1346
C  0.5205  0.9708  0.8654
C  0.5713  0.7911  0.1018
C  0.5723  0.0676  0.6541
C  0.5883  0.3922  0.3351
C  0.6437  0.8212  0.3802
C  0.7442  0.7185  0.8663
C  0.7765  0.4814  0.0819
C  0.7828  0.5477  0.6088
C  0.8932  0.8823  0.6029
C  0.9213  0.6093  0.3529
C  0.9221  0.4303  0.8417
C  0.9744  0.0267  0.8178
O  0.0733  0.2470  0.2620
O  0.2036  0.6151  0.7704
O  0.3424  0.0305  0.7582
O  0.6576  0.9695  0.2418
O  0.7964  0.3849  0.2296
O  0.9267  0.7530  0.7380

Summary:
As for the space group: No. 2. The calculation puts the theoretical density at 1.3 g/cm³. The calculated formation energy comes out at -402.1 meV per atom. The total magnetization comes out at 0.00 μB per formula unit.

Record 2
Density functional theory data (PBE-GGA) for a geometry-optimized SiHC3O structure.

abc: 9.4153 16.1186 11.8352
angles: 90.00 103.38 90.00
Positions (direct):
Si  0.0159  0.1907  0.1215
Si  0.0159  0.3093  0.6215
Si  0.2713  0.5818  0.1125
Si  0.2713  0.9182  0.6125
Si  0.3880  0.6653  0.5945
Si  0.3880  0.8347  0.0945
Si  0.6120  0.1653  0.9055
Si  0.6120  0.3347  0.4055
Si  0.7287  0.0818  0.3875
Si  0.7287  0.4182  0.8875
Si  0.9841  0.6907  0.3785
Si  0.9841  0.8093  0.8785
H  0.1329  0.6806  0.3586
H  0.1329  0.8194  0.8586
H  0.2200  0.6631  0.1463
H  0.2200  0.8369  0.6463
H  0.2735  0.7241  0.5283
H  0.2735  0.7759  0.0283
H  0.7265  0.2241  0.9717
H  0.7265  0.2759  0.4717
H  0.7800  0.1631  0.3537
H  0.7800  0.3369  0.8537
H  0.8671  0.1806  0.1414
H  0.8671  0.3194  0.6414
C  0.0093  0.6683  0.5339
C  0.0093  0.8317  0.0339
C  0.1772  0.2433  0.6847
C  0.1772  0.2567  0.1847
C  0.1839  0.5226  0.2115
C  0.1839  0.9774  0.7115
C  0.1921  0.1812  0.2210
C  0.1921  0.3188  0.7210
C  0.2707  0.5483  0.9646
C  0.2707  0.9517  0.4646
C  0.3500  0.5544  0.6288
C  0.3500  0.9456  0.1288
C  0.4010  0.5438  0.0302
C  0.4010  0.9562  0.5302
C  0.4410  0.1252  0.9396
C  0.4410  0.3748  0.4396
C  0.4423  0.7120  0.7412
C  0.4423  0.7880  0.2412
C  0.5577  0.2120  0.7588
C  0.5577  0.2880  0.2588
C  0.5590  0.6252  0.5604
C  0.5590  0.8748  0.0604
C  0.5990  0.0438  0.4698
C  0.5990  0.4562  0.9698
C  0.6500  0.0544  0.8712
C  0.6500  0.4456  0.3712
C  0.7293  0.0483  0.5354
C  0.7293  0.4517  0.0354
C  0.8079  0.6812  0.2790
C  0.8079  0.8188  0.7790
C  0.8161  0.0226  0.2885
C  0.8161  0.4774  0.7885
C  0.8228  0.7433  0.8153
C  0.8228  0.7567  0.3153
C  0.9907  0.1683  0.9661
C  0.9907  0.3317  0.4661
O  0.0080  0.6608  0.6316
O  0.0080  0.8392  0.1316
O  0.1416  0.0055  0.7880
O  0.1416  0.4945  0.2880
O  0.4873  0.7311  0.8369
O  0.4873  0.7689  0.3369
O  0.5127  0.2311  0.6631
O  0.5127  0.2689  0.1631
O  0.8584  0.5055  0.7120
O  0.8584  0.9945  0.2120
O  0.9920  0.1608  0.8684
O  0.9920  0.3392  0.3684

Summary:
As for the space group: No. 14. The calculation puts the theoretical density at 0.9 g/cm³. The calculated formation energy comes out at 1111.2 meV per atom. The total magnetization comes out at 0.24 μB per formula unit.

Record 3
Density functional theory data (PBE-GGA) for a geometry-optimized Si2Sn2H41C16O3 structure.

abc: 12.9876 12.9876 18.8227
angles: 103.16 103.16 91.76
Positions (direct):
Si  0.1117  0.6454  0.3083
Si  0.1572  0.7791  0.9112
Si  0.2209  0.8428  0.5888
Si  0.3546  0.8883  0.1917
Si  0.6454  0.1117  0.8083
Si  0.7791  0.1572  0.4112
Si  0.8428  0.2209  0.0888
Si  0.8883  0.3546  0.6917
Sn  0.0355  0.6159  0.4742
Sn  0.1982  0.3560  0.5003
Sn  0.3560  0.1982  0.0003
Sn  0.3841  0.9645  0.0258
Sn  0.6159  0.0355  0.9742
Sn  0.6440  0.8018  0.9997
Sn  0.8018  0.6440  0.4997
Sn  0.9645  0.3841  0.5258
H  0.0128  0.2130  0.6821
H  0.0142  0.4132  0.8194
H  0.0241  0.1588  0.1035
H  0.0430  0.4483  0.6727
H  0.0461  0.6501  0.7979
H  0.0538  0.2077  0.3608
H  0.0569  0.2293  0.8800
H  0.0591  0.9329  0.6103
H  0.0626  0.9212  0.9792
H  0.0657  0.6374  0.9491
H  0.0671  0.9409  0.8897
H  0.0725  0.4866  0.3534
H  0.0788  0.9374  0.5208
H  0.0905  0.5022  0.1900
H  0.0979  0.8284  0.2872
H  0.1055  0.1624  0.9523
H  0.1094  0.8322  0.3839
H  0.1135  0.6293  0.1732
H  0.1158  0.7483  0.7703
H  0.1197  0.3017  0.3270
H  0.1198  0.3038  0.9719
H  0.1289  0.1635  0.2929
H  0.1295  0.6946  0.6174
H  0.1467  0.7247  0.0306
H  0.1588  0.0241  0.6035
H  0.1624  0.1055  0.4523
H  0.1635  0.1289  0.7929
H  0.1678  0.8906  0.1161
H  0.1716  0.9021  0.2128
H  0.1829  0.6422  0.7995
H  0.1871  0.3016  0.1073
H  0.1933  0.3289  0.8300
H  0.2048  0.6281  0.9720
H  0.2077  0.0538  0.8608
H  0.2122  0.2564  0.6560
H  0.2130  0.0128  0.1821
H  0.2168  0.4570  0.6796
H  0.2248  0.6483  0.5666
H  0.2293  0.0569  0.3800
H  0.2494  0.3990  0.9247
H  0.2501  0.3474  0.2041
H  0.2517  0.8842  0.7297
H  0.2564  0.2122  0.1560
H  0.2753  0.8533  0.4694
H  0.2809  0.5581  0.3194
H  0.2923  0.4473  0.0744
H  0.2924  0.6661  0.3991
H  0.3013  0.6900  0.3113
H  0.3017  0.1197  0.8270
H  0.3016  0.1871  0.6073
H  0.3038  0.1198  0.4719
H  0.3054  0.8705  0.8826
H  0.3100  0.6987  0.1887
H  0.3207  0.4704  0.4566
H  0.3225  0.5296  0.6603
H  0.3289  0.1933  0.3300
H  0.3298  0.3311  0.3689
H  0.3311  0.3298  0.8689
H  0.3339  0.7076  0.1009
H  0.3462  0.4709  0.7387
H  0.3474  0.2501  0.7041
H  0.3499  0.9539  0.7021
H  0.3517  0.7752  0.9334
H  0.3578  0.8171  0.7005
H  0.3626  0.4979  0.1688
H  0.3626  0.9343  0.5509
H  0.3707  0.8865  0.3268
H  0.3719  0.7952  0.5280
H  0.3990  0.2494  0.4247
H  0.4132  0.0142  0.3194
H  0.4341  0.4536  0.0981
H  0.4419  0.7191  0.1806
H  0.4473  0.2923  0.5744
H  0.4483  0.0430  0.1727
H  0.4536  0.4341  0.5981
H  0.4570  0.2168  0.1796
H  0.4704  0.3207  0.9566
H  0.4704  0.6775  0.8397
H  0.4709  0.3462  0.2387
H  0.4866  0.0725  0.8534
H  0.4979  0.3626  0.6688
H  0.4978  0.9095  0.3100
H  0.5022  0.0905  0.6900
H  0.5021  0.6374  0.3312
H  0.5134  0.9275  0.1466
H  0.5291  0.6538  0.7613
H  0.5296  0.3225  0.1603
H  0.5296  0.6793  0.0434
H  0.5430  0.7832  0.8204
H  0.5464  0.5659  0.4019
H  0.5517  0.9570  0.8273
H  0.5527  0.7077  0.4256
H  0.5581  0.2809  0.8194
H  0.5659  0.5464  0.9019
H  0.5868  0.9858  0.6806
H  0.6010  0.7506  0.5753
H  0.6281  0.2048  0.4720
H  0.6293  0.1135  0.6732
H  0.6374  0.0657  0.4491
H  0.6374  0.5021  0.8312
H  0.6422  0.1829  0.2995
H  0.6483  0.2248  0.0666
H  0.6501  0.0461  0.2979
H  0.6526  0.7499  0.2959
H  0.6538  0.5291  0.2613
H  0.6661  0.2924  0.8991
H  0.6689  0.6702  0.1311
H  0.6702  0.6689  0.6311
H  0.6711  0.8067  0.6700
H  0.6775  0.4704  0.3397
H  0.6793  0.5296  0.5434
H  0.6900  0.3013  0.8113
H  0.6946  0.1295  0.1174
H  0.6962  0.8802  0.5281
H  0.6984  0.8129  0.3927
H  0.6983  0.8803  0.1730
H  0.6987  0.3100  0.6887
H  0.7076  0.3339  0.6009
H  0.7077  0.5527  0.9256
H  0.7191  0.4419  0.6806
H  0.7247  0.1467  0.5306
H  0.7436  0.7878  0.8440
H  0.7483  0.1158  0.2703
H  0.7499  0.6526  0.7959
H  0.7506  0.6010  0.0753
H  0.7707  0.9431  0.6200
H  0.7752  0.3517  0.4334
H  0.7832  0.5430  0.3204
H  0.7870  0.9872  0.8179
H  0.7878  0.7436  0.3440
H  0.7923  0.9462  0.1392
H  0.7952  0.3719  0.0280
H  0.8067  0.6711  0.1700
H  0.8129  0.6984  0.8927
H  0.8171  0.3578  0.2005
H  0.8284  0.0979  0.7872
H  0.8322  0.1094  0.8839
H  0.8365  0.8711  0.2071
H  0.8376  0.8945  0.5477
H  0.8412  0.9759  0.3965
H  0.8533  0.2753  0.9694
H  0.8705  0.3054  0.3826
H  0.8711  0.8365  0.7071
H  0.8802  0.6962  0.0281
H  0.8803  0.6983  0.6730
H  0.8842  0.2517  0.2297
H  0.8865  0.3707  0.8268
H  0.8906  0.1678  0.6161
H  0.8945  0.8376  0.0477
H  0.9021  0.1716  0.7128
H  0.9095  0.4978  0.8100
H  0.9212  0.0626  0.4792
H  0.9275  0.5134  0.6466
H  0.9329  0.0591  0.1103
H  0.9343  0.3626  0.0509
H  0.9374  0.0788  0.0208
H  0.9409  0.0671  0.3897
H  0.9431  0.7707  0.1200
H  0.9462  0.7923  0.6392
H  0.9539  0.3499  0.2021
H  0.9570  0.5517  0.3273
H  0.9759  0.8412  0.8965
H  0.9858  0.5868  0.1806
H  0.9872  0.7870  0.3179
C  0.0416  0.5651  0.3569
C  0.0569  0.8800  0.9203
C  0.0714  0.5854  0.2034
C  0.0738  0.7864  0.3261
C  0.1200  0.9431  0.5797
C  0.1220  0.2304  0.9295
C  0.1227  0.6975  0.8104
C  0.1265  0.2254  0.3433
C  0.1432  0.6842  0.9719
C  0.1608  0.7020  0.5687
C  0.2136  0.9262  0.1739
C  0.2254  0.1265  0.8433
C  0.2258  0.2276  0.4061
C  0.2276  0.2258  0.9061
C  0.2304  0.1220  0.4295
C  0.2527  0.3265  0.8819
C  0.2574  0.2947  0.1505
C  0.2602  0.6399  0.3380
C  0.2947  0.2574  0.6505
C  0.2980  0.8392  0.9313
C  0.3012  0.4597  0.6794
C  0.3025  0.8773  0.6896
C  0.3158  0.8568  0.5281
C  0.3265  0.2527  0.3819
C  0.3303  0.3586  0.6342
C  0.3586  0.3303  0.1342
C  0.3601  0.7398  0.1620
C  0.3623  0.4372  0.1168
C  0.4146  0.9286  0.2966
C  0.4349  0.9584  0.1431
C  0.4372  0.3623  0.6168
C  0.4597  0.3012  0.1794
C  0.5403  0.6988  0.8206
C  0.5628  0.6377  0.3832
C  0.5651  0.0416  0.8569
C  0.5854  0.0714  0.7034
C  0.6377  0.5628  0.8832
C  0.6399  0.2602  0.8380
C  0.6414  0.6697  0.8658
C  0.6697  0.6414  0.3658
C  0.6735  0.7473  0.6181
C  0.6842  0.1432  0.4719
C  0.6975  0.1227  0.3104
C  0.6988  0.5403  0.3206
C  0.7020  0.1608  0.0687
C  0.7053  0.7426  0.3495
C  0.7398  0.3601  0.6620
C  0.7426  0.7053  0.8495
C  0.7473  0.6735  0.1181
C  0.7696  0.8780  0.5705
C  0.7724  0.7742  0.0939
C  0.7742  0.7724  0.5939
C  0.7746  0.8735  0.1567
C  0.7864  0.0738  0.8261
C  0.8392  0.2980  0.4313
C  0.8568  0.3158  0.0281
C  0.8735  0.7746  0.6567
C  0.8773  0.3025  0.1896
C  0.8780  0.7696  0.0705
C  0.8800  0.0569  0.4203
C  0.9262  0.2136  0.6739
C  0.9286  0.4146  0.7966
C  0.9431  0.1200  0.0797
C  0.9584  0.4349  0.6431
O  0.0808  0.4562  0.4868
O  0.0897  0.2851  0.5399
O  0.2851  0.0897  0.0399
O  0.3057  0.4816  0.5060
O  0.4562  0.0808  0.9868
O  0.4816  0.3057  0.0060
O  0.5184  0.6943  0.9940
O  0.5438  0.9192  0.0132
O  0.6943  0.5184  0.4940
O  0.7149  0.9103  0.9601
O  0.9103  0.7149  0.4601
O  0.9192  0.5438  0.5132

Summary:
As for the space group: No. 15. The calculation puts the theoretical density at 1.3 g/cm³. The calculated formation energy comes out at -259.5 meV per atom. The total magnetization comes out at 1.00 μB per formula unit.